First-principles (PBE with a Hubbard U) data for a relaxed structure of Ba3Mn2IrO9, as listed in Materials Project.

Summary:
Space-group type ... R-3m, No. 166
Total energy after the MP2020 corrections ... -7.4697 eV/atom
Electronic total energy ... -102.53 eV per formula unit
Calculated density ... 6.6 g cm⁻³
Energy relative to the elements ... -2306.3 meV/atom
Total moment ... 9.28 μB per formula unit
Crystal system ... trigonal
V ... 217 Å³ per cell

Structure (POSCAR):
```
Ba3Mn2IrO9
1.0
2.921 1.686 7.345
-2.921 1.686 7.345
0.000 -3.373 7.345
Ba Mn Ir O
3 2 1 9
Direct
0.000 0.000 0.000
0.220 0.220 0.220
0.780 0.780 0.780
0.378 0.378 0.378
0.622 0.622 0.622
0.500 0.500 0.500
0.000 0.500 0.500
0.250 0.709 0.709
0.291 0.291 0.750
0.291 0.750 0.291
0.500 0.000 0.500
0.500 0.500 0.000
0.709 0.250 0.709
0.709 0.709 0.250
0.750 0.291 0.291
```